(1)
! Li6Ti2O7, optimized geometry, DFT PBE; values from VASP
&SYSTEM
  ibrav = 0, nat = 30, ntyp = 3
/
ATOMIC_SPECIES
Li 6.94 Li.upf
Ti 47.87 Ti.upf
O 16.00 O.upf
ATOMIC_POSITIONS angstrom
Li 4.5927 1.6421 1.2642
Li 1.3453 1.6621 1.2293
Li 2.9468 4.6419 1.1957
Li 0.0153 2.2653 3.4530
Li 4.2768 5.2452 3.4194
Li 1.6612 5.2651 3.3845
Li 4.2017 3.4131 5.9129
Li 1.5861 3.4331 5.8780
Li 5.8476 6.4129 5.8444
Li 2.9161 4.0363 8.1017
Li 4.5176 7.0162 8.0681
Li 1.2702 7.0361 8.0332
Ti 0.0346 4.2735 1.2587
Ti 2.9660 2.6338 3.3900
Ti 2.8969 6.0445 5.9074
Ti 5.8284 4.4048 8.0387
O 0.0000 2.5681 0.0000
O 4.5292 5.1197 0.0190
O 2.9691 1.1419 2.2791
O 1.5398 3.4668 2.2743
O 4.4712 3.4405 2.3744
O 0.0376 5.7654 2.3696
O 1.5977 1.7876 4.6297
O 2.9315 4.3391 4.6487
O 4.2652 6.8907 4.6677
O 5.8253 2.9129 6.9278
O 1.3917 5.2378 6.9230
O 4.3232 5.2115 7.0231
O 2.8939 7.5363 7.0183
O 1.3338 3.5585 9.2784
CELL_PARAMETERS angstrom
5.8629 0.0000 0.0000
0.0000 5.1363 0.0000
0.0000 3.5420 9.2974
! - E above lowest polymorph (eV per atom) = 0.006
! - E (eV per atom) = -6.6043
! - SG = No. 14

(2)
! Li2Ti2O5, optimized geometry, DFT PBE; values from VASP
&SYSTEM
  ibrav = 0, nat = 36, ntyp = 3
/
ATOMIC_SPECIES
Li 6.94 Li.upf
Ti 47.87 Ti.upf
O 16.00 O.upf
ATOMIC_POSITIONS angstrom
Li 0.9094 0.9402 0.1653
Li 1.8202 9.1848 3.3523
Li 4.4784 1.6676 2.0623
Li 3.5675 9.9122 5.2493
Li 1.7488 3.1850 5.5798
Li 0.8379 11.4296 8.7668
Li 3.4961 3.9124 7.4768
Li 4.4070 12.1571 10.6638
Ti 3.5467 6.4150 9.5992
Ti 4.4437 7.3412 3.1052
Ti 0.8885 8.9271 6.6444
Ti 3.5308 9.5861 8.5197
Ti 1.7855 3.5112 2.3094
Ti 4.4279 4.1701 4.1847
Ti 0.8726 5.7560 7.7239
Ti 1.7697 6.6823 1.2299
O 4.1794 1.0510 0.1668
O 1.7109 6.1626 9.3354
O 0.9524 7.4488 2.7240
O 1.2202 7.1270 6.5403
O 3.8784 8.2151 9.7034
O 3.8774 8.9536 3.5570
O 4.3691 9.1795 6.9082
O 1.5212 9.8014 5.2477
O 1.2193 1.8988 1.8575
O 1.7058 9.6936 8.1386
O 3.6105 3.4037 2.6905
O 4.0971 11.1984 8.9716
O 3.7952 3.2959 5.5814
O 0.9472 3.9178 3.9209
O 1.4389 4.1436 7.2721
O 1.4379 4.8821 1.1257
O 4.0961 5.9703 4.2888
O 4.3640 5.6485 8.1051
O 3.6054 6.9346 1.4937
O 1.1370 12.0462 10.6623
CELL_PARAMETERS angstrom
5.3164 0.0000 0.0000
0.0000 8.6076 0.0000
0.0000 4.4896 10.8291
! - E above lowest polymorph (eV per atom) = 0.028
! - E (eV per atom) = -7.6459
! - SG = No. 14

(3)
! Li4Ti15O32, optimized geometry, DFT PBE; values from VASP
&SYSTEM
  ibrav = 0, nat = 51, ntyp = 3
/
ATOMIC_SPECIES
Li 6.94 Li.upf
Ti 47.87 Ti.upf
O 16.00 O.upf
ATOMIC_POSITIONS angstrom
Li 10.9159 0.0000 0.9666
Li 49.0503 0.0000 4.3435
Li 14.5380 0.0000 1.2874
Li 29.0110 0.0000 2.5690
Ti 22.5329 -1.5126 1.1186
Ti 20.0879 0.0000 1.7788
Ti 22.5329 1.5126 1.1186
Ti 22.3018 0.0000 3.7283
Ti 5.5677 0.0000 0.4930
Ti 31.9839 -1.5266 3.7171
Ti 46.6300 -1.4554 4.9727
Ti 46.8524 0.0000 2.4618
Ti 46.6300 1.4554 4.9727
Ti 31.9839 1.5266 3.7171
Ti 32.2171 0.0000 1.0833
Ti 36.8418 0.0000 4.9949
Ti 37.0702 -1.4945 2.4164
Ti 34.5680 0.0000 3.0611
Ti 37.0702 1.4945 2.4164
O 21.1870 -1.3019 2.6307
O 21.1870 1.3019 2.6307
O 23.3976 0.0000 2.0719
O 2.0395 0.0000 0.1806
O 28.2208 -1.5914 3.4214
O 43.0823 0.0000 1.8812
O 42.8274 -1.6682 4.7594
O 25.9507 0.0000 4.2617
O 21.3859 0.0000 0.3846
O 11.7774 -1.5880 0.1225
O 26.2095 -1.6940 1.3390
O 8.9452 0.0000 0.7921
O 45.6843 0.0000 4.0455
O 28.2208 1.5914 3.4214
O 42.8274 1.6682 4.7594
O 33.1260 0.0000 4.4604
O 28.4640 0.0000 0.6757
O 11.5348 0.0000 2.8623
O 26.2095 1.6940 1.3390
O 11.7774 1.5880 0.1225
O 52.4781 0.0000 4.6471
O 33.3272 -1.3172 2.1877
O 31.0565 0.0000 2.7501
O 18.7280 -1.3093 0.8995
O 16.5204 0.0000 1.4629
O 18.5279 0.0000 3.1585
O 33.3272 1.3172 2.1877
O 18.7280 1.3093 0.8995
O 35.7480 -1.3023 3.9204
O 35.9470 0.0000 1.6735
O 37.9515 0.0000 3.3607
O 35.7480 1.3023 3.9204
CELL_PARAMETERS angstrom
19.5409 -2.9854 0.0000
19.5409 2.9854 0.0000
19.0848 0.0000 5.1508
! - E above lowest polymorph (eV per atom) = 0.015
! - E (eV per atom) = -8.4239
! - SG = No. 160

(4)
! Li3Ti6O13, optimized geometry, DFT PBE; values from VASP
&SYSTEM
  ibrav = 0, nat = 22, ntyp = 3
/
ATOMIC_SPECIES
Li 6.94 Li.upf
Ti 47.87 Ti.upf
O 16.00 O.upf
ATOMIC_POSITIONS angstrom
Li 0.0000 12.0151 4.2692
Li 0.0000 0.0000 0.0000
Li 0.0000 1.9828 6.0616
Ti 0.0000 9.8979 6.6204
Ti 0.0000 7.9089 3.7222
Ti 0.0000 7.9252 0.0145
Ti 0.0000 6.0727 10.3164
Ti 0.0000 6.0890 6.6086
Ti 0.0000 4.1000 3.7104
O 0.0000 11.9435 6.2690
O 0.0000 9.9851 0.0015
O 0.0000 9.9522 4.1276
O 0.0000 9.8119 8.3469
O 0.0000 7.9937 6.1233
O 0.0000 7.8616 1.9820
O 0.0000 6.1363 8.3489
O 0.0000 6.0201 0.0000
O 0.0000 6.0042 4.2075
O 0.0000 4.1860 1.9839
O 0.0000 4.0457 6.2032
O 0.0000 4.0128 10.3293
O 0.0000 2.0544 4.0619
CELL_PARAMETERS angstrom
1.9877 6.0201 0.0000
-1.9877 6.0201 0.0000
0.0000 1.9578 10.3308
! - E (eV per atom) = -8.1426
! - SG = No. 12

(5)
! Li6Ti9O20, optimized geometry, DFT PBE; values from VASP
&SYSTEM
  ibrav = 0, nat = 140, ntyp = 3
/
ATOMIC_SPECIES
Li 6.94 Li.upf
Ti 47.87 Ti.upf
O 16.00 O.upf
ATOMIC_POSITIONS angstrom
Li 0.0222 0.0157 59.8976
Li 1.7317 1.2245 2.9339
Li 0.0974 0.0689 5.8383
Li 1.7489 1.2367 8.9422
Li 0.0164 0.0116 11.9485
Li 1.7250 1.2197 14.9738
Li 4.3937 3.1068 10.3387
Li -0.0071 -0.0050 17.9764
Li 1.7168 1.2140 20.9753
Li -0.0120 -0.0085 23.9720
Li 1.7140 1.2120 26.9685
Li 6.8885 4.8709 41.9544
Li 1.7091 1.2085 32.9641
Li -0.0148 -0.0104 29.9652
Li 1.6856 1.1919 38.9920
Li 6.8646 4.8540 47.9861
Li 6.8818 4.8662 53.9943
Li 1.6046 1.1346 45.1022
Li 4.2198 2.9838 46.5895
Li 1.6485 1.1657 50.9745
Li -0.0171 -0.0121 54.0108
Li 1.6878 1.1935 56.8612
Li 4.2842 3.0294 55.4539
Li 4.2980 3.0391 61.4059
Ti 1.6930 3.0467 6.0248
Ti 3.4367 0.5806 6.0248
Ti 4.3191 3.0541 4.3028
Ti 4.3257 3.0587 7.4889
Ti 1.7935 3.0571 11.9315
Ti 3.4801 0.6719 11.9315
Ti 4.3255 3.0586 13.3955
Ti 1.7264 3.0477 17.9723
Ti 3.4488 0.6118 17.9723
Ti 4.3398 3.0687 16.4315
Ti 4.3132 3.0499 19.4674
Ti 1.7184 3.0442 23.9702
Ti 3.4429 0.6054 23.9702
Ti 4.3106 3.0480 22.4699
Ti 4.3084 3.0465 25.4670
Ti 1.7147 3.0419 29.9642
Ti 3.4395 0.6026 29.9642
Ti 4.3067 3.0453 28.4641
Ti 4.3051 3.0441 31.4612
Ti 1.7067 3.0384 35.9621
Ti 3.4335 0.5963 35.9621
Ti 4.3029 3.0426 34.4583
Ti 4.3003 3.0408 37.4609
Ti 1.6396 3.0290 42.0029
Ti 3.4023 0.5361 42.0029
Ti 4.2737 3.0219 40.4967
Ti 4.2880 3.0320 43.5327
Ti 1.7402 3.0394 47.9096
Ti 3.4456 0.6275 47.9096
Ti 4.2878 3.0319 49.4393
Ti 1.6384 2.9938 53.9382
Ti 3.3687 0.5468 53.9382
Ti 4.2944 3.0366 52.6254
Ti 1.7634 3.0701 59.9277
Ti 3.4823 0.6392 59.9277
Ti 4.2911 3.0342 58.4299
O 2.6642 1.8839 4.7022
O 3.4107 4.0396 6.0782
O 2.6420 1.8682 7.3843
O 4.9454 1.8691 6.0782
O 2.5497 1.8029 10.7340
O 3.6479 4.2687 8.9087
O 2.6675 1.8862 13.3410
O 3.3615 4.0945 12.1390
O 5.2406 2.0164 8.9087
O 5.9534 4.2097 7.6592
O 6.0233 4.2591 10.2867
O 4.9808 1.8044 12.1390
O 2.6754 1.8918 16.6328
O 3.6349 4.1899 15.0066
O 3.4495 4.0802 17.9747
O 5.1619 2.0304 15.0066
O 2.6691 1.8873 19.3277
O 5.9476 4.2056 13.6437
O 5.9261 4.1904 16.3305
O 4.9967 1.8921 17.9747
O 2.6686 1.8870 22.6227
O 3.6235 4.2079 20.9713
O 3.4452 4.0829 23.9695
O 5.1751 2.0137 20.9713
O 5.9527 4.2092 19.6230
O 2.6667 1.8857 25.3195
O 4.9978 1.8872 23.9695
O 5.9512 4.2082 22.3171
O 3.6182 4.2056 26.9659
O 2.6655 1.8848 28.6153
O 5.1711 2.0094 26.9659
O 5.9497 4.2070 25.6159
O 2.6638 1.8836 31.3124
O 3.4423 4.0813 29.9624
O 5.9480 4.2059 28.3129
O 4.9953 1.8850 29.9624
O 3.6157 4.2034 32.9587
O 2.6622 1.8825 34.6111
O 5.1682 2.0077 32.9587
O 5.9467 4.2050 31.6088
O 3.4384 4.0770 35.9569
O 2.6608 1.8815 37.3052
O 5.9449 4.2037 34.3055
O 4.9899 1.8828 35.9569
O 2.6874 1.9003 40.5978
O 3.6168 4.1985 38.9535
O 2.6658 1.8850 43.2845
O 5.1640 2.0104 38.9535
O 5.9444 4.2033 37.6006
O 3.4516 4.0603 41.9217
O 5.9381 4.1989 40.2954
O 4.9786 1.9008 41.9217
O 3.6326 4.2862 44.7892
O 2.5901 1.8315 46.6415
O 5.9459 4.2044 43.5873
O 5.2520 1.9962 44.7892
O 2.6600 1.8809 49.2690
O 3.3729 4.0743 48.0196
O 4.9656 1.8219 48.0196
O 6.0638 4.2878 46.1943
O 3.6680 4.2216 50.8500
O 2.6756 1.8919 52.5403
O 5.2028 2.0511 50.8500
O 2.6021 1.8400 55.1699
O 3.4252 4.1030 53.7977
O 5.9714 4.2224 49.5439
O 5.9493 4.2068 52.2260
O 5.0100 1.8616 53.7977
O 3.6335 4.2512 57.0284
O 2.6442 1.8697 58.5553
O 5.2192 2.0087 57.0284
O 6.0285 4.2628 55.6712
O 2.5537 1.8057 61.1886
O 3.3629 4.0598 59.8315
O 5.9380 4.1988 58.3046
O 4.9486 1.8173 59.8315
O 3.5721 4.2069 63.0622
O 5.1570 1.9655 63.0622
O 5.9801 4.2285 61.6899
O 5.9066 4.1766 64.3195
CELL_PARAMETERS angstrom
5.1804 0.0046 2.9939
1.7311 4.8826 2.9939
-0.0313 -0.0221 59.9316
! - E above lowest polymorph (eV per atom) = 0.013
! - E (eV per atom) = -7.9994
! - SG = No. 12

(6)
! Li4Ti9O20, optimized geometry, DFT PBE; values from VASP
&SYSTEM
  ibrav = 0, nat = 66, ntyp = 3
/
ATOMIC_SPECIES
Li 6.94 Li.upf
Ti 47.87 Ti.upf
O 16.00 O.upf
ATOMIC_POSITIONS angstrom
Li -8.5374 -4.2795 2.5537
Li -5.5431 2.4731 2.8055
Li -0.6184 0.2794 4.8122
Li -1.0970 -4.1891 3.6817
Li -3.5127 -0.3592 2.9717
Li -3.9914 -4.8277 1.8413
Li -7.4334 -0.7959 5.4032
Li -4.4391 5.9567 5.6550
Ti -6.6798 5.2474 1.8104
Ti 2.8504 -2.0859 6.4486
Ti 1.0643 5.5841 6.7685
Ti 1.2590 -1.9827 3.4610
Ti -0.9750 -0.1431 1.7019
Ti -8.7878 0.7042 2.4898
Ti -6.9957 -6.9752 2.1865
Ti -2.7056 3.1776 3.9149
Ti -2.0196 -2.7598 0.5707
Ti -2.5901 -1.7885 6.0827
Ti -10.2709 -1.5003 4.2938
Ti -4.1887 0.9730 5.7188
Ti 2.3860 2.4269 4.4669
Ti 0.9949 4.9687 3.5828
Ti -5.8687 -2.5656 3.1925
Ti -0.3125 2.9460 5.7580
Ti -6.8931 1.5017 6.9934
Ti -1.6670 5.8038 5.0295
O -0.8732 -1.0103 6.2684
O -9.7604 -3.0117 3.4149
O -3.3576 0.2622 7.4278
O -4.7277 1.4016 0.9966
O -6.3423 4.1792 3.3548
O 0.8360 0.7358 1.2058
O -7.0776 1.3234 2.3951
O -5.3715 -6.2206 1.8553
O -8.6606 4.6360 1.8398
O -7.6126 2.5812 5.5944
O -7.0443 -3.1709 1.9268
O -0.8894 4.7276 6.6477
O 1.0665 -3.2097 6.7945
O -0.1772 -0.8628 3.2785
O -1.8813 2.0557 5.3908
O -1.9923 1.2123 2.4206
O -3.0072 3.6207 2.1154
O -1.2437 -4.0136 1.7332
O -8.7355 -0.4363 3.9804
O -2.4440 -1.3839 1.6860
O -2.1657 -3.1644 4.9674
O -4.2410 2.1135 4.2282
O -3.3660 -0.5347 4.9202
O -5.3396 7.4306 4.7245
O -2.6174 -5.7607 4.2328
O -11.0952 -0.3785 2.8179
O -4.4325 -3.6855 3.3749
O -4.9395 2.3582 7.1142
O 1.4714 4.0699 5.4121
O 2.4346 -1.3774 4.7266
O -5.3638 -0.9039 2.6143
O 0.3138 6.4153 5.0001
O -5.8988 0.3539 5.8135
O 0.7618 1.6723 4.7981
O -0.8161 4.0899 4.0789
O -6.6342 -2.5019 4.8539
O 4.7476 3.4241 4.2881
O -2.4712 6.8235 6.3341
O -3.2160 4.6889 4.7937
O 3.4111 1.8705 5.9383
CELL_PARAMETERS angstrom
-4.6296 -9.3740 1.3687
7.1476 5.4085 5.5532
-8.3667 6.2256 1.5552
! - E above lowest polymorph (eV per atom) = 0.000
! - E (eV per atom) = -8.2521
! - SG = No. 88